1.
# PrDy3 | the Materials Project | r²SCAN | relaxed
data_PrDy3
_chemical_formula_sum 'Pr1 Dy3'
_space_group_name_H-M_alt 'P 1'
_space_group_IT_number 1
_cell_length_a 5.077
_cell_length_b 5.077
_cell_length_c 5.077
_cell_angle_alpha 90.00
_cell_angle_beta 90.00
_cell_angle_gamma 90.00
loop_
_space_group_symop_operation_xyz
'x,y,z'
loop_
_atom_site_label
_atom_site_type_symbol
_atom_site_fract_x
_atom_site_fract_y
_atom_site_fract_z
Dy1 Dy 0.000 0.500 0.500
Dy2 Dy 0.500 0.000 0.500
Dy3 Dy 0.500 0.500 0.000
Pr1 Pr 0.000 0.000 0.000
# Spin magnetization in μB/f.u.: 0.01
# Offset from the most stable computed form in meV/atom: 32.5
# Calculated density in g/cm³: 7.97
# Crystal system: cubic

---

2.
# Pr3Dy | the Materials Project | r²SCAN | relaxed
data_Pr3Dy
_chemical_formula_sum 'Pr3 Dy1'
_space_group_name_H-M_alt 'P 1'
_space_group_IT_number 1
_cell_length_a 6.341
_cell_length_b 6.341
_cell_length_c 6.341
_cell_angle_alpha 131.36
_cell_angle_beta 131.36
_cell_angle_gamma 71.24
loop_
_space_group_symop_operation_xyz
'x,y,z'
loop_
_atom_site_label
_atom_site_type_symbol
_atom_site_fract_x
_atom_site_fract_y
_atom_site_fract_z
Pr1 Pr 0.250 0.750 0.500
Pr2 Pr 0.750 0.250 0.500
Pr3 Pr 0.500 0.500 0.000
Dy1 Dy 0.000 0.000 0.000
# Spin magnetization in μB/f.u.: 0.00
# Offset from the most stable computed form in meV/atom: 0.0
# Calculated density in g/cm³: 6.91
# Crystal system: tetragonal

---

3.
# Pr3Dy | the Materials Project | r²SCAN | relaxed
data_Pr3Dy
_chemical_formula_sum 'Pr3 Dy1'
_space_group_name_H-M_alt 'P 1'
_space_group_IT_number 1
_cell_length_a 5.197
_cell_length_b 5.197
_cell_length_c 5.197
_cell_angle_alpha 90.00
_cell_angle_beta 90.00
_cell_angle_gamma 90.00
loop_
_space_group_symop_operation_xyz
'x,y,z'
loop_
_atom_site_label
_atom_site_type_symbol
_atom_site_fract_x
_atom_site_fract_y
_atom_site_fract_z
Pr1 Pr 0.500 0.500 0.000
Pr2 Pr 0.500 0.000 0.500
Pr3 Pr 0.000 0.500 0.500
Dy1 Dy 0.000 0.000 0.000
# Spin magnetization in μB/f.u.: 0.00
# Offset from the most stable computed form in meV/atom: 2.1
# Calculated density in g/cm³: 6.92
# Crystal system: cubic

---

4.
# Yb2PrDyS6 | the Materials Project | r²SCAN | relaxed
data_Yb2PrDyS6
_chemical_formula_sum 'Yb4 Pr2 Dy2 S12'
_space_group_name_H-M_alt 'P 1'
_space_group_IT_number 1
_cell_length_a 3.950
_cell_length_b 10.990
_cell_length_c 11.252
_cell_angle_alpha 71.23
_cell_angle_beta 90.00
_cell_angle_gamma 90.00
loop_
_space_group_symop_operation_xyz
'x,y,z'
loop_
_atom_site_label
_atom_site_type_symbol
_atom_site_fract_x
_atom_site_fract_y
_atom_site_fract_z
S1 S 0.250 0.106 0.558
S2 S 0.250 0.696 0.254
S3 S 0.750 0.619 0.037
S4 S 0.250 0.581 0.591
S5 S 0.750 0.304 0.746
S6 S 0.750 0.419 0.409
S7 S 0.250 0.020 0.116
S8 S 0.750 0.980 0.884
S9 S 0.250 0.381 0.963
S10 S 0.250 0.770 0.768
S11 S 0.750 0.894 0.442
S12 S 0.750 0.230 0.232
Dy1 Dy 0.750 0.179 0.998
Dy2 Dy 0.250 0.821 0.002
Yb1 Yb 0.250 0.339 0.587
Yb2 Yb 0.750 0.661 0.413
Yb3 Yb 0.750 0.943 0.665
Yb4 Yb 0.250 0.057 0.335
Pr1 Pr 0.750 0.551 0.803
Pr2 Pr 0.250 0.449 0.197
# Spin magnetization in μB/f.u.: 0.00
# Calculated density in g/cm³: 6.05
# Crystal system: monoclinic
# Total DFT energy (no corrections) in eV per atom: -20.67

---

5.
# DyPt3 | the Materials Project | r²SCAN | relaxed
data_DyPt3
_chemical_formula_sum 'Dy1 Pt3'
_space_group_name_H-M_alt 'P 1'
_space_group_IT_number 1
_cell_length_a 4.094
_cell_length_b 4.094
_cell_length_c 4.094
_cell_angle_alpha 90.00
_cell_angle_beta 90.00
_cell_angle_gamma 90.00
loop_
_space_group_symop_operation_xyz
'x,y,z'
loop_
_atom_site_label
_atom_site_type_symbol
_atom_site_fract_x
_atom_site_fract_y
_atom_site_fract_z
Pt1 Pt 0.000 0.500 0.500
Pt2 Pt 0.500 0.000 0.500
Pt3 Pt 0.500 0.500 0.000
Dy1 Dy 0.000 0.000 0.000
# Spin magnetization in μB/f.u.: 0.00
# Calculated density in g/cm³: 18.09
# Crystal system: cubic
# Total DFT energy (no corrections) in eV per atom: -47.72

---

6.
# Dy5Pt4 | the Materials Project | r²SCAN | relaxed
data_Dy5Pt4
_chemical_formula_sum 'Dy20 Pt16'
_space_group_name_H-M_alt 'P 1'
_space_group_IT_number 1
_cell_length_a 7.469
_cell_length_b 7.559
_cell_length_c 14.522
_cell_angle_alpha 90.00
_cell_angle_beta 90.00
_cell_angle_gamma 90.00
loop_
_space_group_symop_operation_xyz
'x,y,z'
loop_
_atom_site_label
_atom_site_type_symbol
_atom_site_fract_x
_atom_site_fract_y
_atom_site_fract_z
Pt1 Pt 0.550 0.613 0.250
Pt2 Pt 0.814 0.468 0.542
Pt3 Pt 0.050 0.887 0.250
Pt4 Pt 0.817 0.359 0.250
Pt5 Pt 0.186 0.532 0.458
Pt6 Pt 0.683 0.859 0.750
Pt7 Pt 0.450 0.387 0.750
Pt8 Pt 0.186 0.532 0.042
Pt9 Pt 0.314 0.032 0.542
Pt10 Pt 0.314 0.032 0.958
Pt11 Pt 0.686 0.968 0.042
Pt12 Pt 0.814 0.468 0.958
Pt13 Pt 0.317 0.141 0.250
Pt14 Pt 0.686 0.968 0.458
Pt15 Pt 0.950 0.113 0.750
Pt16 Pt 0.183 0.641 0.750
Dy1 Dy 0.499 0.680 0.594
Dy2 Dy 0.001 0.180 0.094
Dy3 Dy 0.816 0.512 0.750
Dy4 Dy 0.346 0.832 0.378
Dy5 Dy 0.846 0.668 0.122
Dy6 Dy 0.501 0.320 0.094
Dy7 Dy 0.999 0.820 0.594
Dy8 Dy 0.316 0.988 0.750
Dy9 Dy 0.684 0.012 0.250
Dy10 Dy 0.499 0.680 0.906
Dy11 Dy 0.001 0.180 0.406
Dy12 Dy 0.154 0.332 0.622
Dy13 Dy 0.999 0.820 0.906
Dy14 Dy 0.846 0.668 0.378
Dy15 Dy 0.654 0.168 0.622
Dy16 Dy 0.184 0.488 0.250
Dy17 Dy 0.501 0.320 0.406
Dy18 Dy 0.154 0.332 0.878
Dy19 Dy 0.654 0.168 0.878
Dy20 Dy 0.346 0.832 0.122
# Spin magnetization in μB/f.u.: 0.00
# Calculated density in g/cm³: 12.90
# Crystal system: orthorhombic
# Total DFT energy (no corrections) in eV per atom: -41.94

---

7.
# Dy5SbPt2 | the Materials Project | r²SCAN | relaxed
data_Dy5SbPt2
_chemical_formula_sum 'Dy10 Sb2 Pt4'
_space_group_name_H-M_alt 'P 1'
_space_group_IT_number 1
_cell_length_a 8.712
_cell_length_b 8.712
_cell_length_c 8.712
_cell_angle_alpha 127.24
_cell_angle_beta 127.24
_cell_angle_gamma 77.86
loop_
_space_group_symop_operation_xyz
'x,y,z'
loop_
_atom_site_label
_atom_site_type_symbol
_atom_site_fract_x
_atom_site_fract_y
_atom_site_fract_z
Dy1 Dy 0.519 0.019 0.813
Dy2 Dy 0.981 0.795 0.500
Dy3 Dy 0.019 0.205 0.500
Dy4 Dy 0.205 0.705 0.187
Dy5 Dy 0.295 0.481 0.500
Dy6 Dy 0.795 0.295 0.813
Dy7 Dy 0.481 0.981 0.187
Dy8 Dy 0.500 0.500 0.000
Dy9 Dy 0.705 0.519 0.500
Dy10 Dy 0.000 0.000 0.000
Sb1 Sb 0.250 0.250 0.000
Sb2 Sb 0.750 0.750 0.000
Pt1 Pt 0.639 0.861 0.500
Pt2 Pt 0.361 0.139 0.500
Pt3 Pt 0.861 0.361 0.223
Pt4 Pt 0.139 0.639 0.777
# Spin magnetization in μB/f.u.: 0.00
# Calculated density in g/cm³: 10.83
# Crystal system: tetragonal
# Total DFT energy (no corrections) in eV per atom: -37.20

---

8.
# DySi2Pt2 | the Materials Project | r²SCAN | relaxed
data_DySi2Pt2
_chemical_formula_sum 'Dy2 Si4 Pt4'
_space_group_name_H-M_alt 'P 1'
_space_group_IT_number 1
_cell_length_a 4.160
_cell_length_b 4.160
_cell_length_c 9.873
_cell_angle_alpha 90.00
_cell_angle_beta 90.00
_cell_angle_gamma 90.00
loop_
_space_group_symop_operation_xyz
'x,y,z'
loop_
_atom_site_label
_atom_site_type_symbol
_atom_site_fract_x
_atom_site_fract_y
_atom_site_fract_z
Pt1 Pt 0.000 0.000 0.000
Pt2 Pt 0.000 0.500 0.625
Pt3 Pt 0.500 0.000 0.375
Pt4 Pt 0.500 0.500 0.000
Si1 Si 0.500 0.500 0.500
Si2 Si 0.000 0.500 0.865
Si3 Si 0.000 0.000 0.500
Si4 Si 0.500 0.000 0.135
Dy1 Dy 0.500 0.000 0.746
Dy2 Dy 0.000 0.500 0.254
# Spin magnetization in μB/f.u.: 0.00
# Calculated density in g/cm³: 11.83
# Crystal system: tetragonal
# Total DFT energy (no corrections) in eV per atom: -31.68

---

9.
# DySnPt | the Materials Project | r²SCAN | relaxed
data_DySnPt
_chemical_formula_sum 'Dy3 Sn3 Pt3'
_space_group_name_H-M_alt 'P 1'
_space_group_IT_number 1
_cell_length_a 7.467
_cell_length_b 7.467
_cell_length_c 4.012
_cell_angle_alpha 90.00
_cell_angle_beta 90.00
_cell_angle_gamma 120.00
loop_
_space_group_symop_operation_xyz
'x,y,z'
loop_
_atom_site_label
_atom_site_type_symbol
_atom_site_fract_x
_atom_site_fract_y
_atom_site_fract_z
Pt1 Pt 0.333 0.667 0.000
Pt2 Pt 0.000 0.000 0.500
Pt3 Pt 0.667 0.333 0.000
Sn1 Sn 0.259 0.000 0.000
Sn2 Sn 0.741 0.741 0.000
Sn3 Sn 0.000 0.259 0.000
Dy1 Dy 0.000 0.594 0.500
Dy2 Dy 0.406 0.406 0.500
Dy3 Dy 0.594 0.000 0.500
# Spin magnetization in μB/f.u.: 0.00
# Calculated density in g/cm³: 12.25
# Crystal system: hexagonal
# Total DFT energy (no corrections) in eV per atom: -37.28

---

10.
# Dy7Te2Pt2 | the Materials Project | r²SCAN | relaxed
data_Dy7Te2Pt2
_chemical_formula_sum 'Dy7 Te2 Pt2'
_space_group_name_H-M_alt 'P 1'
_space_group_IT_number 1
_cell_length_a 9.410
_cell_length_b 9.410
_cell_length_c 9.410
_cell_angle_alpha 155.73
_cell_angle_beta 118.58
_cell_angle_gamma 67.04
loop_
_space_group_symop_operation_xyz
'x,y,z'
loop_
_atom_site_label
_atom_site_type_symbol
_atom_site_fract_x
_atom_site_fract_y
_atom_site_fract_z
Dy1 Dy 0.938 0.316 0.623
Dy2 Dy 0.004 0.000 0.004
Dy3 Dy 0.913 0.643 0.270
Dy4 Dy 0.627 0.357 0.270
Dy5 Dy 0.544 0.129 0.414
Dy6 Dy 0.307 0.684 0.623
Dy7 Dy 0.285 0.871 0.414
Pt1 Pt 0.686 0.761 0.925
Pt2 Pt 0.164 0.239 0.925
Te1 Te 0.262 0.500 0.762
Te2 Te 0.663 0.000 0.663
# Spin magnetization in μB/f.u.: 0.00
# Calculated density in g/cm³: 9.93
# Crystal system: orthorhombic
# Total DFT energy (no corrections) in eV per atom: -35.50

---

11.
# DyRe2 | the Materials Project | r²SCAN | relaxed
data_DyRe2
_chemical_formula_sum 'Dy4 Re8'
_space_group_name_H-M_alt 'P 1'
_space_group_IT_number 1
_cell_length_a 5.408
_cell_length_b 5.408
_cell_length_c 8.797
_cell_angle_alpha 90.00
_cell_angle_beta 90.00
_cell_angle_gamma 120.01
loop_
_space_group_symop_operation_xyz
'x,y,z'
loop_
_atom_site_label
_atom_site_type_symbol
_atom_site_fract_x
_atom_site_fract_y
_atom_site_fract_z
Re1 Re 0.829 0.171 0.250
Re2 Re 0.829 0.658 0.250
Re3 Re 0.342 0.171 0.250
Re4 Re 0.171 0.342 0.750
Re5 Re 0.171 0.829 0.750
Re6 Re 0.000 0.000 0.500
Re7 Re 0.000 0.000 0.000
Re8 Re 0.658 0.829 0.750
Dy1 Dy 0.667 0.333 0.562
Dy2 Dy 0.333 0.667 0.062
Dy3 Dy 0.333 0.667 0.438
Dy4 Dy 0.667 0.333 0.938
# Spin magnetization in μB/f.u.: 0.00
# Calculated density in g/cm³: 15.95
# Crystal system: hexagonal
# Total DFT energy (no corrections) in eV per atom: -45.88

---

12.
# DyRh2 | the Materials Project | r²SCAN | relaxed
data_DyRh2
_chemical_formula_sum 'Dy2 Rh4'
_space_group_name_H-M_alt 'P 1'
_space_group_IT_number 1
_cell_length_a 5.294
_cell_length_b 5.294
_cell_length_c 5.294
_cell_angle_alpha 60.00
_cell_angle_beta 60.00
_cell_angle_gamma 60.00
loop_
_space_group_symop_operation_xyz
'x,y,z'
loop_
_atom_site_label
_atom_site_type_symbol
_atom_site_fract_x
_atom_site_fract_y
_atom_site_fract_z
Dy1 Dy 0.125 0.125 0.125
Dy2 Dy 0.875 0.875 0.875
Rh1 Rh 0.500 0.000 0.500
Rh2 Rh 0.500 0.500 0.500
Rh3 Rh 0.000 0.500 0.500
Rh4 Rh 0.500 0.500 0.000
# Spin magnetization in μB/f.u.: 0.00
# Calculated density in g/cm³: 11.66
# Crystal system: cubic
# Total DFT energy (no corrections) in eV per atom: -27.56